Computed, not measured: a relaxed structure of K2CaP2O7 at the GGA-PBE level of DFT.

## Properties
* MP2020-corrected energy: -7.075 eV per atom
* energy relative to the elements: -2.934 eV per atom
* total energy: -6.674 eV/atom

abc: 9.932 5.745 14.433
angles: 90.00 117.63 90.00
Space group P2_1/c (No. 14)
Unique sites:
1 K 0.013 0.238 0.140
2 K 0.466 0.231 0.322
3 Ca 0.267 0.238 0.518
4 P 0.172 0.745 0.141
5 P 0.321 0.720 0.374
6 O 0.000 0.237 0.430
7 O 0.183 0.704 0.758
8 O 0.249 0.545 0.621
9 O 0.251 0.512 0.148
10 O 0.281 0.029 0.891
11 O 0.303 0.603 0.946
12 O 0.470 0.738 0.368